! PBE Cs2CdSn3Se8, optimized geometry; values from VASP
! - Calculated density: 4.2 g/cm³
! - Calculated formation energy: -1258 kJ/mol of formula units
&SYSTEM
  ibrav = 0, nat = 56, ntyp = 4
/
ATOMIC_SPECIES
Se 78.96 Se.upf
Sn 118.71 Sn.upf
Cs 132.91 Cs.upf
Cd 112.41 Cd.upf
CELL_PARAMETERS angstrom
-2.5853 2.7271 -7.3404
9.3409 -7.8613 -6.2105
-12.5425 -14.2195 -0.8654
ATOMIC_POSITIONS angstrom
Se -7.5586 -9.5639 -3.0679
Se -11.4053 -11.2343 -6.9956
Se -8.9799 -8.3356 -6.7404
Se 1.6340 -9.8076 -11.2766
Sn 0.7522 -12.2407 -11.5996
Se -2.8114 -13.4124 -6.4182
Se 4.2122 -7.0336 -11.1866
Cs -3.7227 -12.7948 -10.3270
Sn -13.7221 -12.4275 -6.8933
Se -3.6450 -3.1435 -4.4800
Sn -10.5521 -6.7518 -7.9081
Sn -1.7787 -11.1386 -5.6667
Cs 3.3084 -3.6315 -9.4652
Cs 2.6417 -10.5270 -7.0939
Se -2.6421 -16.5745 -9.6945
Se -8.0848 -10.9373 -10.4440
Se -3.9382 -10.1788 -4.5630
Se 1.0090 -4.2531 -4.1422
Se -6.9161 -11.9930 -6.8167
Sn 5.9092 -8.4760 -10.0103
Se -9.8680 -15.1628 -7.0188
Se 1.2997 -6.7190 -7.6222
Sn -5.8156 -16.0848 -4.0756
Sn -4.9710 -12.4673 -5.3199
Cd -0.1148 -15.8118 -10.3189
Se -1.3982 -7.1709 -4.3459
Se 0.3251 -5.4434 -11.2362
Cs -5.3932 -8.6961 -8.2767
Cs -1.0848 -2.6196 -7.6028
Cs -4.4264 -19.6513 -8.0607
Cd -7.3036 -14.5564 -7.6149
Cd -1.9432 -2.1436 -0.2591
Se -1.2507 -9.8248 -7.8222
Se -2.4517 -8.7683 -11.4293
Se 5.6226 -8.2530 -7.5017
Sn -3.3324 -17.1562 -12.0256
Se -0.9120 -0.1914 -4.4015
Se -1.1436 -17.9077 -6.2864
Se -5.6640 -18.3516 -11.9189
Se -2.3406 -4.6966 -1.0853
Se 0.1705 -13.2873 -9.3997
Se 4.4652 -4.8459 -5.8366
Se 0.5756 -1.4890 -0.9849
Cs -5.0626 -6.7285 -3.0301
Sn -5.5549 -2.8835 -6.1857
Se -2.8210 -5.9411 -8.0226
Sn 3.1749 -2.9007 -4.6730
Se -8.2636 -16.5838 -3.2703
Se -6.4367 -5.3311 -6.5141
Cs -9.4079 -12.7661 -3.8090
Se -6.8167 -14.9494 -10.2405
Se -5.4078 -16.1673 -6.5597
Se -1.1474 -12.1075 -13.3387
Sn -1.1152 -7.3949 -6.8386
Sn 2.2845 -6.2005 -5.3015
Cd -2.2121 -6.1956 -10.6397